Pm2GaSn: relaxed, PBE-GGA.

Cell lengths 5.346, 5.346, 5.346 Å; angles 60.00, 60.00, 60.00 degrees
Fractional coordinates of all 4 atoms:
Pm1 0.750 0.750 0.750
Pm2 0.250 0.250 0.250
Sn1 0.000 0.000 0.000
Ga1 0.500 0.500 0.500

Energy of formation: -2.27 eV per formula unit
Total energy: -18.807 eV for the cell shown